No. 1
Below is a geometry-optimized Cd3As2 structure, with properties calculated at the PBE-GGA level.

Cell lengths 9.169, 9.169, 12.908 Å; angles 90.00, 90.00, 90.00 degrees
Space group P4_2/nmc (No. 137, origin choice 2)
Unique sites:
1 Cd 0.005 0.750 0.103 x8
2 Cd 0.032 0.750 0.645 x8
3 Cd 0.035 0.250 0.633 x8
4 As 0.006 0.506 0.250 x8
5 As 0.250 0.250 0.492 x4
6 As 0.250 0.750 0.505 x4

No. 2
Below is a geometry-optimized Cd2AsCl2 structure, with properties calculated at the PBE-GGA level.

Cell lengths 8.002, 9.373, 8.487 Å; angles 90.00, 120.25, 90.00 degrees
Space group P2_1/c (No. 14)
Unique sites:
1 Cd 0.045 0.202 0.215 x4
2 Cd 0.439 0.580 0.248 x4
3 As 0.069 0.619 0.059 x4
4 Cl 0.246 0.521 0.696 x4
5 Cl 0.421 0.190 0.918 x4

Results
The calculation puts the size of the total moment at 0.000 μB/atom.

No. 3
Below is a geometry-optimized Cd3AsCl3 structure, with properties calculated at the PBE-GGA level.

Cell lengths 13.468, 8.278, 7.225 Å; angles 90.00, 90.00, 90.00 degrees
Space group Pnma (No. 62)
Unique sites:
1 Cd 0.000 0.000 0.000 x4
2 Cd 0.088 0.250 0.498 x4
3 Cd 0.239 0.750 0.505 x4
4 As 0.084 0.250 0.142 x4
5 Cl 0.082 0.750 0.310 x4
6 Cl 0.167 0.022 0.694 x8

No. 4
Below is a geometry-optimized Cd2Hg13As8Cl12 structure, with properties calculated at the PBE-GGA level.

Cell lengths 12.512, 12.513, 12.513 Å; angles 90.00, 90.05, 90.00 degrees
Space group P2_1/c (No. 14)
Unique sites:
1 Cd 0.000 0.000 0.000 x2
2 Cd 0.500 0.000 0.500 x2
3 Hg 0.000 0.000 0.500 x2
4 Hg 0.028 0.208 0.282 x4
5 Hg 0.208 0.718 0.972 x4
6 Hg 0.219 0.028 0.708 x4
7 Hg 0.281 0.528 0.708 x4
8 Hg 0.292 0.219 0.972 x4
9 Hg 0.472 0.708 0.281 x4
10 As 0.166 0.666 0.166 x4
11 As 0.221 0.221 0.779 x4
12 As 0.280 0.721 0.779 x4
13 As 0.334 0.166 0.166 x4
14 Cl 0.036 0.208 0.041 x4
15 Cl 0.041 0.536 0.708 x4
16 Cl 0.210 0.540 0.465 x4
17 Cl 0.292 0.041 0.465 x4
18 Cl 0.459 0.035 0.709 x4
19 Cl 0.465 0.709 0.040 x4

Results
The calculation puts the size of the total moment at 0.000 μB/atom.

No. 5
Below is a geometry-optimized CsCd4As3 structure, with properties calculated at the PBE-GGA level.

Cell lengths 4.592, 4.592, 11.048 Å; angles 90.00, 90.00, 90.00 degrees
Space group P4/mmm (No. 123)
Unique sites:
1 Cs 0.000 0.000 0.000 x1
2 Cd 0.000 0.500 0.338 x4
3 As 0.000 0.000 0.500 x1
4 As 0.500 0.500 0.202 x2

No. 6
Below is a geometry-optimized CdCuAsHO5 structure, with properties calculated at the PBE-GGA level.

Cell lengths 7.435, 6.045, 9.272 Å; angles 90.00, 90.00, 90.00 degrees
Space group Pnma (No. 62)
Unique sites:
1 Cd 0.121 0.250 0.184 x4
2 Cu 0.000 0.000 0.500 x4
3 As 0.130 0.250 0.841 x4
4 H 0.241 0.750 0.970 x4
5 O 0.036 0.750 0.030 x4
6 O 0.126 0.012 0.739 x8
7 O 0.133 0.250 0.431 x4
8 O 0.174 0.750 0.453 x4

Results
The calculation puts the size of the total moment at 0.018 μB/atom.

No. 7
Below is a geometry-optimized CdAs2HF13 structure, with properties calculated at the PBE-GGA level.

Cell lengths 9.634, 9.559, 10.796 Å; angles 90.00, 104.55, 90.00 degrees
Space group P2_1/c (No. 14)
Unique sites:
1 Cd 0.249 0.171 0.014 x4
2 As 0.007 0.638 0.302 x4
3 As 0.490 0.660 0.680 x4
4 H 0.209 0.024 0.585 x4
5 F 0.041 0.235 0.069 x4
6 F 0.048 0.543 0.177 x4
7 F 0.106 0.244 0.810 x4
8 F 0.112 0.523 0.421 x4
9 F 0.145 0.035 0.200 x4
10 F 0.152 0.749 0.316 x4
11 F 0.243 0.074 0.523 x4
12 F 0.348 0.723 0.146 x4
13 F 0.357 0.050 0.799 x4
14 F 0.388 0.536 0.568 x4
15 F 0.398 0.213 0.216 x4
16 F 0.440 0.585 0.808 x4
17 F 0.449 0.238 0.952 x4

Results
The calculation puts the size of the total moment at 0.000 μB/atom.

No. 8
Below is a geometry-optimized CdAs2S18N12O6F12 structure, with properties calculated at the PBE-GGA level.

Cell lengths 9.357, 10.564, 11.420 Å; angles 65.44, 81.14, 87.09 degrees
Space group P-1 (No. 2)
Unique sites:
1 Cd 0.000 0.000 0.000 x1
2 As 0.281 0.302 0.355 x2
3 S 0.100 0.313 0.028 x2
4 S 0.108 0.432 0.757 x2
5 S 0.167 0.883 0.385 x2
6 S 0.236 0.886 0.684 x2
7 S 0.270 0.902 0.183 x2
8 S 0.323 0.025 0.766 x2
9 S 0.325 0.359 0.908 x2
10 S 0.338 0.737 0.915 x2
11 S 0.348 0.666 0.392 x2
12 N 0.025 0.401 0.899 x2
13 N 0.230 0.732 0.464 x2
14 N 0.250 0.741 0.807 x2
15 N 0.273 0.407 0.768 x2
16 N 0.382 0.778 0.244 x2
17 N 0.394 0.892 0.874 x2
18 O 0.073 0.159 0.073 x2
19 O 0.150 0.848 0.140 x2
20 O 0.193 0.074 0.830 x2
21 F 0.114 0.231 0.353 x2
22 F 0.212 0.473 0.284 x2
23 F 0.219 0.294 0.513 x2
24 F 0.344 0.310 0.196 x2
25 F 0.351 0.131 0.426 x2
26 F 0.449 0.373 0.354 x2

Results
The calculation puts the size of the total moment at 0.000 μB/atom.

No. 9
Below is a geometry-optimized Cd2AsO4F structure, with properties calculated at the PBE-GGA level.

Cell lengths 14.544, 6.990, 10.966 Å; angles 90.00, 120.61, 90.00 degrees
Space group C2/c (No. 15)
Unique sites:
1 Cd 0.053 0.240 0.490 x8
2 Cd 0.154 0.395 0.849 x8
3 As 0.177 0.094 0.307 x8
4 O 0.082 0.036 0.136 x8
5 O 0.131 0.288 0.357 x8
6 O 0.194 0.088 0.922 x8
7 O 0.205 0.349 0.685 x8
8 F 0.012 0.412 0.889 x8

Results
The calculation puts the size of the total moment at 0.000 μB/atom.

| no. | total energy (eV for the cell shown) | ΔH_f (0 K) (meV/atom) |
| --- | --- | --- |
| 1 | -100.32 | -91 |
| 2 | -54.71 | -941 |
| 3 | -72.75 | -1008 |
| 4 | -162.15 | -663 |
| 5 | -20.58 | -252 |
| 6 | -188.26 | -1410 |
| 7 | -291.22 | -2370 |
| 8 | -266.70 | -764 |
| 9 | -318.63 | -1853 |